# 1
Here is a relaxed structure of Ga8As16H102C32S36O3 from the Materials Project database. Energies are from PBE-GGA.

Computed properties:
DFT formation energy: -0.32 eV/atom
Total energy after the MP2020 corrections: -0.36066 Ry/atom
Magnetization: 0.06 μB/f.u.
SG: No. 1

a b c (Å): 10.2229 12.8915 23.8889
angles (deg): 89.98 89.93 90.00
Fractional positions:
H 0.1468 0.0802 0.2930
S 0.6105 0.1659 0.9102
S 0.1507 0.4635 0.5401
H 0.0377 0.1523 0.4438
H 0.8609 0.1935 0.2932
O 0.8414 0.2076 0.3327
As 0.7823 0.9057 0.4794
Ga 0.2237 0.7367 0.6445
Ga 0.2766 0.2646 0.1447
C 0.3864 0.7971 0.9264
H 0.1042 0.2809 0.4445
Ga 0.7235 0.7648 0.3554
As 0.4205 0.4266 0.2465
As 0.5796 0.9267 0.2536
H 0.0271 0.5239 0.0025
H 0.7385 0.7350 0.9560
H 0.0419 0.2144 0.7040
H 0.8293 0.4504 0.2328
H 0.2997 0.8962 0.0448
C 0.8970 0.5161 0.2304
H 0.9886 0.9041 0.5358
H 0.1202 0.5048 0.9398
H 0.3666 0.4402 0.3477
H 0.5417 0.2859 0.2959
S 0.0196 0.7131 0.6106
H 0.5114 0.0960 0.0359
S 0.8498 0.9639 0.9603
H 0.4902 0.0074 0.7879
C 0.1139 0.5003 0.8158
S 0.4804 0.2868 0.1103
S 0.3495 0.5364 0.0400
H 0.0114 0.4040 0.9642
C 0.0778 0.4668 0.9766
H 0.8377 0.1564 0.0652
As 0.7858 0.3477 0.5510
H 0.7623 0.2654 0.4558
H 0.4729 0.4760 0.5025
H 0.5631 0.6168 0.8454
H 0.1501 0.1106 0.7244
H 0.8014 0.9487 0.6902
H 0.6043 0.2192 0.5556
H 0.2749 0.3440 0.6570
Ga 0.5006 0.9609 0.3980
As 0.2858 0.1524 0.4490
S 0.8898 0.8342 0.4100
C 0.2798 0.1546 0.5307
C 0.7205 0.6548 0.9693
O 0.1585 0.7075 0.1672
H 0.5965 0.0779 0.6776
H 0.6264 0.6265 0.9539
H 0.9031 0.9216 0.1776
H 0.3919 0.7946 0.8806
S 0.7125 0.4850 0.0742
C 0.4906 0.5542 0.8451
H 0.3015 0.5513 0.3101
H 0.9666 0.9699 0.1120
As 0.0799 0.5735 0.7463
S 0.2431 0.9140 0.6501
H 0.8942 0.7055 0.1192
H 0.7724 0.7460 0.5386
As 0.2138 0.8478 0.9492
C 0.8865 0.7031 0.0736
H 0.5378 0.3477 0.5563
As 0.7143 0.6524 0.0512
S 0.0639 0.6937 0.3056
H 0.4624 0.8479 0.9435
H 0.4370 0.1180 0.6544
H 0.3737 0.1263 0.5463
H 0.5102 0.5083 0.7113
H 0.4034 0.7955 0.2761
H 0.3797 0.4953 0.4399
S 0.2544 0.0873 0.1499
H 0.4663 0.5301 0.8879
C 0.4222 0.5332 0.4766
S 0.7536 0.4127 0.8501
Ga 0.4991 0.4608 0.1021
H 0.3605 0.3064 0.7067
S 0.9663 0.9501 0.8138
C 0.5706 0.3383 0.2619
S 0.9422 0.2603 0.5843
S 0.5194 0.7869 0.3895
S 0.6507 0.0364 0.4598
H 0.1388 0.6937 0.2067
H 0.2379 0.7652 0.0443
H 0.7004 0.3962 0.4553
H 0.6985 0.0513 0.1899
C 0.1030 0.0161 0.2696
S 0.2122 0.0148 0.9257
C 0.7799 0.3454 0.4693
H 0.2276 0.2460 0.9615
C 0.6141 0.9998 0.1841
S 0.0343 0.4501 0.6860
As 0.4354 0.9345 0.6933
As 0.2176 0.4056 0.0207
H 0.6498 0.3897 0.2755
H 0.3378 0.3437 0.9349
C 0.3018 0.3039 0.9725
H 0.9897 0.4917 0.2114
S 0.2588 0.6640 0.7327
C 0.0089 0.4453 0.3454
H 0.9371 0.3819 0.3457
H 0.5272 0.9762 0.9975
H 0.6705 0.5495 0.7327
C 0.9222 0.9669 0.5234
H 0.9730 0.0240 0.4975
S 0.7421 0.1639 0.7672
S 0.7456 0.5874 0.3500
C 0.1983 0.6960 0.4725
C 0.8857 0.0001 0.6842
H 0.6469 0.4200 0.7067
H 0.6057 0.2945 0.6192
S 0.4422 0.2397 0.4155
C 0.2204 0.8453 0.0308
H 0.7997 0.6039 0.9552
C 0.6981 0.8039 0.5276
H 0.1983 0.4488 0.8100
H 0.8505 0.6098 0.7753
H 0.9738 0.9556 0.6736
H 0.1174 0.7310 0.4958
S 0.4350 0.3064 0.8060
C 0.5778 0.0332 0.0235
C 0.1136 0.2030 0.4264
S 0.5589 0.8037 0.6922
S 0.9363 0.1938 0.1942
S 0.9805 0.2132 0.8898
C 0.6136 0.2970 0.5736
S 0.3902 0.6667 0.5901
S 0.2415 0.3364 0.2329
H 0.0259 0.4557 0.8263
H 0.1624 0.6561 0.4350
H 0.1707 0.9505 0.2672
H 0.3958 0.7193 0.9444
H 0.8826 0.2312 0.0043
S 0.5347 0.0501 0.3141
As 0.9211 0.0731 0.7535
H 0.9582 0.7143 0.7959
As 0.7180 0.0944 0.9795
S 0.1102 0.3342 0.0901
As 0.0639 0.0646 0.1940
C 0.4294 0.8383 0.2381
H 0.5260 0.0443 0.1736
H 0.2250 0.6561 0.1571
H 0.4030 0.5786 0.8222
H 0.3298 0.0491 0.7670
H 0.0965 0.2047 0.7759
As 0.5637 0.4345 0.8058
H 0.0334 0.4698 0.3880
C 0.3972 0.9832 0.7691
H 0.7275 0.2542 0.0386
C 0.3859 0.4998 0.3159
Ga 0.0008 0.5392 0.6020
H 0.8532 0.5802 0.2070
H 0.4887 0.5959 0.4642
H 0.2724 0.7539 0.4615
H 0.9033 0.7047 0.7240
S 0.7585 0.8363 0.2671
H 0.0630 0.8819 0.1544
H 0.3826 0.2689 0.9957
C 0.6029 0.4838 0.7303
C 0.0707 0.1619 0.7379
C 0.5087 0.0545 0.6545
H 0.4583 0.7860 0.2041
C 0.8018 0.1963 0.0276
H 0.0103 0.9917 0.2886
As 0.2825 0.5945 0.5209
H 0.6174 0.7689 0.5043
H 0.8663 0.0598 0.6524
S 0.5576 0.7400 0.0840
H 0.4740 0.5443 0.3264
S 0.0591 0.7590 0.9158
O 0.3416 0.2929 0.6671
H 0.0969 0.4216 0.3224
H 0.6620 0.8436 0.5652
H 0.5336 0.0306 0.6118
S 0.4652 0.5500 0.1859
H 0.8798 0.0048 0.5602
H 0.3530 0.9194 0.7926
H 0.7751 0.1562 0.3430
H 0.1060 0.2055 0.3808
H 0.8957 0.7809 0.0555
H 0.3502 0.8897 0.2246
H 0.1332 0.5599 0.8476
C 0.9294 0.6618 0.7619
H 0.8738 0.3737 0.4536
H 0.6334 0.9402 0.1523
As 0.9361 0.5646 0.3060
S 0.7874 0.5150 0.5744
H 0.2004 0.1038 0.5448
H 0.2622 0.2347 0.5442
C 0.9911 0.9453 0.1546
H 0.6200 0.9952 0.0603
H 0.5966 0.2954 0.2239
H 0.9623 0.6524 0.0562
Ga 0.9987 0.0388 0.8974
S 0.2873 0.9850 0.4256
H 0.1264 0.8736 0.0465
Ga 0.7771 0.2349 0.8553

# 2
Here is a relaxed structure of HgAs3H12C4S6N from the Materials Project database. Energies are from PBE-GGA.

Computed properties:
DFT formation energy: -0.28 eV/atom
Total energy after the MP2020 corrections: -0.36086 Ry/atom
Magnetization: 0.00 μB/f.u.
SG: No. 15

a b c (Å): 10.1843 10.1843 27.1359
angles (deg): 88.70 88.70 42.17
Fractional positions:
Hg 0.1415 0.3246 0.0534
N 0.1111 0.8136 0.6309
As 0.7251 0.7506 0.3147
H 0.8677 0.0169 0.6792
S 0.5413 0.7822 0.5212
H 0.9832 0.9485 0.3304
H 0.8953 0.0817 0.4390
H 0.3257 0.7147 0.6816
H 0.3724 0.5253 0.6534
C 0.7400 0.3287 0.3303
H 0.6743 0.2853 0.3184
H 0.2853 0.6743 0.8184
As 0.5999 0.8127 0.0671
H 0.3347 0.6733 0.9257
C 0.0269 0.7500 0.6126
C 0.9846 0.0493 0.8478
H 0.6653 0.3267 0.0743
H 0.0515 0.0168 0.1696
S 0.5218 0.8499 0.3770
As 0.7506 0.7251 0.8147
S 0.6868 0.0098 0.9693
H 0.6044 0.1456 0.0963
N 0.8889 0.1864 0.3691
S 0.3132 0.9902 0.0307
H 0.8553 0.9142 0.0853
H 0.9485 0.9832 0.8304
S 0.1501 0.4782 0.1230
Hg 0.3246 0.1415 0.5534
H 0.9183 0.1047 0.0610
As 0.2672 0.3164 0.8087
As 0.2494 0.2749 0.1853
S 0.0098 0.6868 0.4693
S 0.5386 0.7774 0.2585
S 0.2178 0.4587 0.9788
S 0.5336 0.7287 0.1385
C 0.9507 0.0154 0.6522
H 0.7231 0.1460 0.3959
H 0.9831 0.1323 0.8208
As 0.6836 0.7328 0.6913
S 0.8499 0.5218 0.8770
C 0.7883 0.1869 0.4106
H 0.9142 0.8553 0.5853
C 0.8131 0.2117 0.0894
Hg 0.6754 0.8585 0.4466
H 0.1883 0.6718 0.7006
H 0.3267 0.6653 0.5743
S 0.4664 0.2713 0.8615
H 0.1460 0.8798 0.3776
S 0.4614 0.2226 0.7415
H 0.9618 0.7445 0.6441
H 0.6733 0.3347 0.4257
C 0.0154 0.9507 0.1522
H 0.8540 0.2769 0.1041
As 0.7328 0.6836 0.1913
As 0.3164 0.2672 0.3087
S 0.7774 0.5386 0.7585
H 0.5253 0.3724 0.1534
C 0.1869 0.7883 0.9106
S 0.0234 0.6499 0.7945
S 0.6499 0.0234 0.2945
H 0.0382 0.2555 0.3559
H 0.6276 0.4747 0.3466
H 0.6718 0.1883 0.2006
S 0.2226 0.4614 0.2415
C 0.9731 0.2500 0.3874
S 0.3501 0.9766 0.7055
As 0.2749 0.2494 0.6853
H 0.8798 0.1460 0.8776
H 0.1460 0.7231 0.8959
H 0.2555 0.0382 0.8559
H 0.0817 0.8953 0.9390
Hg 0.8585 0.6754 0.9466
C 0.3287 0.7400 0.8303
H 0.8544 0.3956 0.4037
S 0.4782 0.1501 0.6230
H 0.4747 0.6276 0.8466
C 0.7500 0.0269 0.1126
C 0.2117 0.8131 0.5894
C 0.2500 0.9731 0.8874
S 0.9902 0.3132 0.5307
C 0.6713 0.2600 0.1697
H 0.8540 0.1202 0.6224
N 0.8136 0.1111 0.1309
N 0.1864 0.8889 0.8691
H 0.2769 0.8540 0.6041
H 0.3282 0.8117 0.7994
H 0.1447 0.0858 0.9147
S 0.7822 0.5413 0.0212
As 0.1873 0.4001 0.4329
S 0.4587 0.2178 0.4788
H 0.7445 0.9618 0.1441
C 0.2600 0.6713 0.6697
H 0.1456 0.6044 0.5963
S 0.9766 0.3501 0.2055
H 0.8117 0.3282 0.2994
H 0.1323 0.9831 0.3208
H 0.3956 0.8544 0.9037
C 0.0493 0.9846 0.3478
As 0.8127 0.5999 0.5671
H 0.1047 0.9183 0.5610
H 0.0169 0.8677 0.1792
As 0.4001 0.1873 0.9329
H 0.1202 0.8540 0.1224
S 0.7287 0.5336 0.6385
H 0.0858 0.1447 0.4147
H 0.7147 0.3257 0.1816
S 0.2713 0.4664 0.3615
H 0.0168 0.0515 0.6696

# 3
Here is a relaxed structure of InSi2AsH24C8 from the Materials Project database. Energies are from PBE-GGA.

Computed properties:
DFT formation energy: -0.17 eV/atom
Magnetization: 0.00 μB/f.u.
SG: No. 2

a b c (Å): 9.5455 9.8140 10.0970
angles (deg): 77.87 81.42 65.53
Fractional positions:
C 0.2530 0.2214 0.8314
H 0.1604 0.0992 0.1961
H 0.8965 0.4123 0.2918
H 0.8259 0.3382 0.1822
H 0.6421 0.9885 0.8604
H 0.0471 0.5690 0.8846
H 0.8141 0.6136 0.6780
H 0.5286 0.7597 0.9561
H 0.8734 0.1671 0.5100
C 0.0980 0.8168 0.3946
H 0.6307 0.0428 0.4141
H 0.5911 0.5603 0.9666
H 0.7217 0.6499 0.9050
H 0.1035 0.5877 0.7082
H 0.9222 0.1184 0.9305
H 0.8220 0.3184 0.8900
C 0.8559 0.4327 0.1904
C 0.7287 0.9944 0.7769
H 0.8035 0.7244 0.5129
C 0.1441 0.5673 0.8096
H 0.7863 0.7649 0.2693
Si 0.6873 0.6211 0.1567
H 0.3693 0.9572 0.5859
H 0.9172 0.2908 0.5866
H 0.9529 0.4310 0.1154
H 0.1780 0.6816 0.1100
C 0.3745 0.3500 0.0196
H 0.3484 0.1093 0.8498
C 0.2130 0.3755 0.4267
H 0.2783 0.3501 0.0950
C 0.9020 0.1832 0.6054
H 0.3795 0.8512 0.7532
H 0.0828 0.7092 0.4134
H 0.1325 0.4764 0.4686
H 0.6205 0.1488 0.2468
C 0.6375 0.1468 0.3525
H 0.0135 0.0912 0.6330
H 0.2727 0.7932 0.0067
H 0.1965 0.2756 0.4871
H 0.1575 0.2214 0.9075
Si 0.7494 0.1817 0.7464
Si 0.3127 0.3789 0.8433
H 0.1741 0.6618 0.8178
C 0.3625 0.8532 0.6475
H 0.8675 0.5236 0.5314
H 0.1859 0.3864 0.3220
In 0.5458 0.6547 0.5720
H 0.3579 0.0115 0.1396
C 0.2713 0.0056 0.2231
H 0.6516 0.8907 0.1502
C 0.1906 0.7903 0.0948
H 0.1266 0.8329 0.4900
H 0.7529 0.1434 0.3571
H 0.4714 0.2403 0.0439
H 0.0778 0.8816 0.0695
C 0.7470 0.7786 0.1686
C 0.6255 0.6500 0.9804
H 0.3052 0.0253 0.3144
C 0.8094 0.2097 0.9052
H 0.9865 0.9088 0.3670
Si 0.2506 0.8183 0.2536
C 0.7870 0.6245 0.5733
H 0.8425 0.7786 0.0925
H 0.2137 0.2351 0.7307
In 0.4542 0.3453 0.4280
As 0.4857 0.6169 0.3263
H 0.8396 0.9008 0.8039
H 0.4089 0.4397 0.0334
H 0.6948 0.9747 0.6856
As 0.5143 0.3831 0.6737
H 0.7273 0.2068 0.9933
H 0.2471 0.8566 0.6429